# CeNiSn2

An optimized crystal structure of CeNiSn2 (r2SCAN, the Materials Project).

Calculated values
formation enthalpy at 0 K	-605.4	meV per atom
total magnetic moment	0.9	μB/f.u.
crystal system	orthorhombic

Cell and atoms, written as POSCAR:
```
CeNiSn2
1.0
7.608 5.451 -1.006
-8.129 -2.315 4.143
2.235 -2.576 2.947
Ni Sn Ce
2 4 2
direct
0.819 0.181 0.250
0.181 0.819 0.750
0.047 0.953 0.750
0.953 0.047 0.250
0.249 0.751 0.250
0.751 0.249 0.750
0.610 0.390 0.250
0.390 0.610 0.750
```